# Na3NiBSO7

Crystalline Na3NiBSO7 at its relaxed geometry (GGA+U, the Materials Project).

Unit cell a=8.573 b=8.573 c=10.298 alpha=107.59 beta=107.59 gamma=104.15
Fractional positions:
Na 0.530 0.280 0.063
Na 0.030 0.780 0.063
Na 0.970 0.220 0.937
Na 0.470 0.720 0.937
Na 0.738 0.745 0.241
Na 0.238 0.245 0.241
Na 0.495 0.988 0.241
Na 0.995 0.488 0.241
Na 0.005 0.512 0.759
Na 0.505 0.012 0.759
Na 0.762 0.755 0.759
Na 0.262 0.255 0.759
Ni 0.427 0.677 0.336
Ni 0.073 0.823 0.664
Ni 0.927 0.177 0.336
Ni 0.573 0.323 0.664
B 0.775 0.025 0.067
B 0.275 0.525 0.067
B 0.725 0.475 0.933
B 0.225 0.975 0.933
S 0.693 0.443 0.420
S 0.193 0.943 0.420
S 0.807 0.057 0.580
S 0.307 0.557 0.580
O 0.312 0.062 0.084
O 0.812 0.562 0.084
O 0.188 0.438 0.916
O 0.688 0.938 0.916
O 0.928 0.178 0.139
O 0.428 0.678 0.140
O 0.572 0.322 0.861
O 0.072 0.822 0.861
O 0.720 0.970 0.167
O 0.220 0.470 0.167
O 0.780 0.530 0.833
O 0.280 0.030 0.833
O 0.571 0.321 0.457
O 0.071 0.821 0.457
O 0.929 0.179 0.543
O 0.429 0.679 0.543
O 0.665 0.915 0.439
O 0.165 0.415 0.439
O 0.835 0.585 0.561
O 0.335 0.085 0.561
O 0.591 0.518 0.328
O 0.091 0.018 0.328
O 0.768 0.341 0.328
O 0.268 0.841 0.328
O 0.732 0.159 0.672
O 0.232 0.659 0.672
O 0.909 0.982 0.672
O 0.409 0.482 0.672

Summary:
For the formation energy, the calculation gives -2.11 eV per atom. The value obtained for the raw total energy is -300.97 eV per cell.


# Na6V2B4PO16

Crystalline Na6V2B4PO16 at its relaxed geometry (GGA+U, the Materials Project).

Unit cell a=9.923 b=9.923 c=9.923 alpha=60.00 beta=60.00 gamma=60.00
Fractional positions:
Na 0.290 0.710 0.710
Na 0.960 0.960 0.540
Na 0.710 0.290 0.710
Na 0.290 0.710 0.290
Na 0.540 0.960 0.960
Na 0.540 0.540 0.960
Na 0.710 0.290 0.290
Na 0.710 0.710 0.290
Na 0.540 0.960 0.540
Na 0.960 0.540 0.960
Na 0.290 0.290 0.710
Na 0.960 0.540 0.540
V 0.625 0.125 0.125
V 0.125 0.625 0.125
V 0.125 0.125 0.625
V 0.125 0.125 0.125
B 0.258 0.914 0.914
B 0.914 0.258 0.914
B 0.914 0.914 0.914
B 0.914 0.914 0.258
B 0.336 0.336 0.992
B 0.336 0.336 0.336
B 0.336 0.992 0.336
B 0.992 0.336 0.336
P 0.500 0.500 0.500
P 0.750 0.750 0.750
O 0.220 0.988 0.491
O 0.988 0.220 0.301
O 0.262 0.949 0.759
O 0.262 0.759 0.030
O 0.564 0.564 0.308
O 0.949 0.030 0.759
O 0.030 0.759 0.949
O 0.564 0.564 0.564
O 0.564 0.308 0.564
O 0.949 0.262 0.030
O 0.759 0.262 0.949
O 0.308 0.564 0.564
O 0.030 0.949 0.262
O 0.759 0.949 0.030
O 0.949 0.759 0.262
O 0.491 0.220 0.988
O 0.759 0.030 0.262
O 0.301 0.491 0.988
O 0.491 0.301 0.220
O 0.220 0.301 0.988
O 0.942 0.686 0.686
O 0.491 0.988 0.301
O 0.301 0.988 0.220
O 0.686 0.942 0.686
O 0.686 0.686 0.686
O 0.220 0.491 0.301
O 0.301 0.220 0.491
O 0.686 0.686 0.942
O 0.988 0.491 0.220
O 0.988 0.301 0.491
O 0.262 0.030 0.949
O 0.030 0.262 0.759

Summary:
For the formation energy, the calculation gives -2.53 eV per atom. The value obtained for the raw total energy is -392.61 eV per cell.


# Na3VB2O6

Crystalline Na3VB2O6 at its relaxed geometry (GGA+U, the Materials Project).

Unit cell a=9.556 b=5.542 c=11.737 alpha=65.33 beta=90.00 gamma=90.00
Fractional positions:
Na 0.963 0.513 0.340
Na 0.659 0.456 0.377
Na 0.982 0.924 0.886
Na 0.159 0.544 0.123
Na 0.482 0.076 0.614
Na 0.463 0.487 0.160
Na 0.537 0.513 0.840
Na 0.518 0.924 0.386
Na 0.841 0.456 0.877
Na 0.018 0.076 0.114
Na 0.341 0.544 0.623
Na 0.037 0.487 0.660
V 0.317 0.986 0.877
V 0.817 0.014 0.623
V 0.183 0.986 0.377
V 0.683 0.014 0.123
B 0.309 0.452 0.382
B 0.649 0.979 0.865
B 0.809 0.548 0.118
B 0.149 0.021 0.635
B 0.851 0.979 0.365
B 0.191 0.452 0.882
B 0.351 0.021 0.135
B 0.691 0.548 0.618
O 0.327 0.870 0.068
O 0.696 0.325 0.592
O 0.932 0.684 0.109
O 0.257 0.118 0.682
O 0.010 0.074 0.659
O 0.687 0.633 0.156
O 0.187 0.367 0.344
O 0.510 0.926 0.841
O 0.757 0.882 0.818
O 0.432 0.316 0.391
O 0.827 0.130 0.432
O 0.196 0.675 0.908
O 0.804 0.325 0.092
O 0.173 0.870 0.568
O 0.568 0.684 0.609
O 0.243 0.118 0.182
O 0.490 0.074 0.159
O 0.813 0.633 0.656
O 0.313 0.367 0.844
O 0.990 0.926 0.341
O 0.743 0.882 0.318
O 0.068 0.316 0.891
O 0.304 0.675 0.408
O 0.673 0.130 0.932

Summary:
For the formation energy, the calculation gives -2.48 eV per atom. The value obtained for the raw total energy is -320.03 eV per cell.


# NdNiB5O10

Crystalline NdNiB5O10 at its relaxed geometry (GGA+U, the Materials Project).

Unit cell a=7.652 b=8.713 c=9.569 alpha=93.25 beta=90.00 gamma=90.00
Fractional positions:
Nd 0.681 0.319 0.264
Nd 0.181 0.181 0.236
Nd 0.319 0.681 0.736
Nd 0.819 0.819 0.764
Ni 0.911 0.897 0.373
Ni 0.411 0.603 0.127
Ni 0.089 0.103 0.627
Ni 0.589 0.397 0.873
B 0.814 0.569 0.088
B 0.314 0.931 0.412
B 0.186 0.431 0.912
B 0.686 0.069 0.588
B 0.099 0.658 0.501
B 0.599 0.842 0.999
B 0.901 0.342 0.499
B 0.401 0.158 0.001
B 0.034 0.780 0.055
B 0.534 0.720 0.445
B 0.966 0.220 0.945
B 0.466 0.280 0.555
B 0.825 0.016 0.107
B 0.325 0.484 0.393
B 0.175 0.984 0.893
B 0.675 0.516 0.607
B 0.078 0.588 0.241
B 0.578 0.912 0.259
B 0.922 0.412 0.759
B 0.422 0.088 0.741
O 0.949 0.262 0.381
O 0.449 0.238 0.119
O 0.051 0.738 0.619
O 0.551 0.762 0.881
O 0.153 0.002 0.431
O 0.653 0.498 0.069
O 0.847 0.998 0.569
O 0.347 0.502 0.931
O 0.877 0.684 0.010
O 0.377 0.816 0.490
O 0.123 0.316 0.990
O 0.623 0.184 0.510
O 0.726 0.956 0.986
O 0.226 0.544 0.514
O 0.274 0.044 0.014
O 0.774 0.456 0.486
O 0.892 0.172 0.081
O 0.392 0.328 0.419
O 0.108 0.828 0.919
O 0.608 0.672 0.581
O 0.973 0.914 0.148
O 0.473 0.586 0.352
O 0.027 0.086 0.852
O 0.527 0.414 0.648
O 0.153 0.685 0.135
O 0.653 0.815 0.365
O 0.847 0.315 0.865
O 0.347 0.185 0.635
O 0.911 0.516 0.196
O 0.411 0.984 0.304
O 0.089 0.484 0.804
O 0.589 0.016 0.696
O 0.036 0.688 0.371
O 0.536 0.812 0.129
O 0.964 0.312 0.629
O 0.464 0.188 0.871
O 0.210 0.468 0.268
O 0.710 0.032 0.232
O 0.790 0.532 0.732
O 0.290 0.968 0.768

Summary:
For the formation energy, the calculation gives -2.86 eV per atom. The value obtained for the raw total energy is -530.25 eV per cell.


# Nd7V2BO17

Crystalline Nd7V2BO17 at its relaxed geometry (GGA+U, the Materials Project).

Unit cell a=18.126 b=6.990 c=13.677 alpha=66.55 beta=90.00 gamma=90.00
Fractional positions:
Nd 0.722 0.797 0.179
Nd 0.278 0.203 0.821
Nd 0.222 0.203 0.321
Nd 0.778 0.797 0.679
Nd 0.867 0.778 0.437
Nd 0.133 0.222 0.563
Nd 0.367 0.222 0.063
Nd 0.633 0.778 0.937
Nd 0.607 0.310 0.198
Nd 0.393 0.690 0.802
Nd 0.107 0.690 0.302
Nd 0.893 0.310 0.698
Nd 0.274 0.714 0.097
Nd 0.726 0.286 0.903
Nd 0.774 0.286 0.403
Nd 0.226 0.714 0.597
Nd 0.448 0.708 0.515
Nd 0.552 0.292 0.485
Nd 0.948 0.292 0.985
Nd 0.052 0.708 0.015
Nd 0.521 0.802 0.209
Nd 0.479 0.198 0.791
Nd 0.021 0.198 0.291
Nd 0.979 0.802 0.709
Nd 0.654 0.818 0.424
Nd 0.346 0.182 0.576
Nd 0.154 0.182 0.076
Nd 0.846 0.818 0.924
V 0.803 0.289 0.163
V 0.197 0.711 0.837
V 0.303 0.711 0.337
V 0.697 0.289 0.663
V 0.936 0.778 0.183
V 0.064 0.222 0.817
V 0.436 0.222 0.317
V 0.564 0.778 0.683
B 0.431 0.748 0.000
B 0.569 0.252 0.000
B 0.931 0.252 0.500
B 0.069 0.748 0.500
O 0.874 0.441 0.088
O 0.126 0.559 0.912
O 0.374 0.559 0.412
O 0.626 0.441 0.588
O 0.378 0.599 0.000
O 0.622 0.401 0.000
O 0.878 0.401 0.500
O 0.122 0.599 0.500
O 0.766 0.900 0.493
O 0.234 0.100 0.507
O 0.266 0.100 0.007
O 0.734 0.900 0.993
O 0.632 0.954 0.240
O 0.368 0.046 0.760
O 0.132 0.046 0.260
O 0.868 0.954 0.740
O 0.936 0.870 0.043
O 0.064 0.130 0.957
O 0.436 0.130 0.457
O 0.564 0.870 0.543
O 0.853 0.705 0.245
O 0.147 0.295 0.755
O 0.353 0.295 0.255
O 0.647 0.705 0.745
O 0.145 0.797 0.120
O 0.855 0.203 0.880
O 0.645 0.203 0.380
O 0.355 0.797 0.620
O 0.737 0.434 0.201
O 0.263 0.566 0.799
O 0.237 0.566 0.299
O 0.763 0.434 0.701
O 0.542 0.639 0.400
O 0.458 0.361 0.600
O 0.042 0.361 0.100
O 0.958 0.639 0.900
O 0.004 0.581 0.227
O 0.996 0.419 0.773
O 0.504 0.419 0.273
O 0.496 0.581 0.727
O 0.330 0.894 0.216
O 0.670 0.106 0.784
O 0.830 0.106 0.284
O 0.170 0.894 0.716
O 0.610 0.684 0.122
O 0.390 0.316 0.878
O 0.110 0.316 0.378
O 0.890 0.684 0.622
O 0.970 0.987 0.204
O 0.030 0.013 0.796
O 0.470 0.013 0.296
O 0.530 0.987 0.704
O 0.421 0.834 0.074
O 0.579 0.166 0.926
O 0.921 0.166 0.426
O 0.079 0.834 0.574
O 0.516 0.195 0.079
O 0.484 0.805 0.921
O 0.016 0.805 0.421
O 0.984 0.195 0.579
O 0.740 0.626 0.376
O 0.260 0.374 0.624
O 0.240 0.374 0.124
O 0.760 0.626 0.876
O 0.261 0.837 0.409
O 0.739 0.163 0.591
O 0.761 0.163 0.091
O 0.239 0.837 0.909

Summary:
For the formation energy, the calculation gives -3.42 eV per atom. The value obtained for the raw total energy is -878.90 eV per cell.


# Nd3BWO9

Crystalline Nd3BWO9 at its relaxed geometry (GGA+U, the Materials Project).

Unit cell a=8.799 b=8.799 c=5.593 alpha=90.00 beta=90.00 gamma=120.00
Fractional positions:
Nd 0.724 0.644 0.204
Nd 0.080 0.724 0.704
Nd 0.356 0.080 0.204
Nd 0.920 0.276 0.204
Nd 0.644 0.920 0.704
Nd 0.276 0.356 0.704
B 0.000 0.000 0.369
B 0.000 0.000 0.869
W 0.667 0.333 0.747
W 0.333 0.667 0.247
O 0.176 0.048 0.861
O 0.794 0.534 0.544
O 0.127 0.176 0.361
O 0.740 0.206 0.544
O 0.135 0.520 0.471
O 0.615 0.135 0.971
O 0.260 0.794 0.044
O 0.952 0.127 0.861
O 0.206 0.466 0.044
O 0.865 0.480 0.971
O 0.873 0.824 0.861
O 0.534 0.740 0.044
O 0.520 0.385 0.971
O 0.385 0.865 0.471
O 0.048 0.873 0.361
O 0.480 0.615 0.471
O 0.466 0.260 0.544
O 0.824 0.952 0.361

Summary:
For the formation energy, the calculation gives -3.33 eV per atom. The value obtained for the raw total energy is -228.92 eV per cell.


# NiB6O18

Crystalline NiB6O18 at its relaxed geometry (GGA+U, the Materials Project).

Unit cell a=8.363 b=8.937 c=10.319 alpha=70.58 beta=72.25 gamma=87.20
Fractional positions:
Ni 0.837 0.355 0.322
Ni 0.163 0.645 0.678
B 0.897 0.668 0.358
B 0.103 0.332 0.642
B 0.639 0.792 0.262
B 0.361 0.208 0.738
B 0.898 0.679 0.104
B 0.102 0.321 0.896
B 0.163 0.684 0.163
B 0.837 0.316 0.837
B 0.708 0.850 0.457
B 0.292 0.150 0.543
B 0.709 0.868 0.998
B 0.291 0.132 0.002
O 0.821 0.737 0.233
O 0.179 0.263 0.767
O 0.333 0.667 0.118
O 0.667 0.333 0.882
O 0.080 0.683 0.300
O 0.920 0.317 0.700
O 0.831 0.745 0.464
O 0.169 0.255 0.536
O 0.677 0.943 0.546
O 0.323 0.057 0.454
O 0.608 0.870 0.369
O 0.392 0.130 0.631
O 0.614 0.888 0.126
O 0.386 0.112 0.874
O 0.689 0.967 0.870
O 0.311 0.033 0.130
O 0.831 0.760 0.988
O 0.169 0.240 0.012
O 0.082 0.700 0.060
O 0.918 0.300 0.940
O 0.863 0.496 0.421
O 0.137 0.504 0.579
O 0.519 0.657 0.313
O 0.481 0.343 0.687
O 0.874 0.507 0.144
O 0.126 0.493 0.856
O 0.745 0.207 0.230
O 0.255 0.793 0.770
O 0.822 0.188 0.483
O 0.178 0.812 0.517
O 0.046 0.260 0.310
O 0.954 0.740 0.690
O 0.579 0.368 0.321
O 0.421 0.632 0.679
O 0.596 0.265 0.251
O 0.404 0.735 0.749

Summary:
For the formation energy, the calculation gives -0.92 eV per atom. The value obtained for the raw total energy is -310.97 eV per cell.